Version w
A plane-wave DFT calculation with r2SCAN was carried out for an optimized crystal structure of Yb4SmS5.

```
Yb4SmS5
1.0
-4.8043 4.4574 -14.5965
-5.0506 0.6792 -15.1670
-7.9934 2.5775 -13.6187
Yb S Sm
4 5 1
Direct
0.6990 0.6990 0.6990 Yb
0.3010 0.3010 0.3010 Yb
0.0982 0.0982 0.0982 Yb
0.9018 0.9018 0.9018 Yb
0.6015 0.6015 0.6015 S
0.0000 0.0000 0.0000 S
0.7963 0.7963 0.7963 S
0.3985 0.3985 0.3985 S
0.2037 0.2037 0.2037 S
0.5000 0.5000 0.5000 Sm
```

Summary:
SG: R-3m



Version x
A plane-wave DFT calculation with r2SCAN was carried out for an optimized crystal structure of Yb4SmS5.

```
Yb4SmS5
1.0
3.7141 3.6910 8.7486
5.5503 7.6896 3.7444
-7.5529 -4.6717 -5.0085
S Yb Sm
5 4 1
Direct
0.3934 0.3934 0.0000 S
0.8013 0.8013 0.0000 S
0.1987 0.1987 0.0000 S
0.0000 0.0000 0.0000 S
0.6066 0.6066 0.0000 S
0.9013 0.4013 0.5000 Yb
0.0987 0.5987 0.5000 Yb
0.2977 0.7977 0.5000 Yb
0.7023 0.2023 0.5000 Yb
0.5000 0.0000 0.5000 Sm
```

Summary:
SG: Immm



It turns out version w is the most stable, with the second structure 12 meV per atom higher.



Version w
A plane-wave DFT calculation with r2SCAN was carried out for an optimized crystal structure of Tm5Sb3.

```
Tm5Sb3
1.0
8.8212 0.0000 0.0000
-4.4106 7.6394 0.0001
0.0000 0.0000 6.2064
Tm Sb
10 6
Direct
0.7531 0.0000 0.7500 Tm
0.0000 0.2469 0.2500 Tm
0.3333 0.6667 0.0000 Tm
0.2469 0.0000 0.2500 Tm
0.3333 0.6667 0.5000 Tm
0.0000 0.7531 0.7500 Tm
0.2469 0.2469 0.7500 Tm
0.7531 0.7531 0.2500 Tm
0.6667 0.3333 0.5000 Tm
0.6667 0.3333 0.0000 Tm
0.3882 0.0000 0.7500 Sb
0.6118 0.0000 0.2500 Sb
0.0000 0.3882 0.7500 Sb
0.3882 0.3882 0.2500 Sb
0.6118 0.6118 0.7500 Sb
0.0000 0.6118 0.2500 Sb
```

Summary:
SG: P6_3/mcm



Version x
A plane-wave DFT calculation with r2SCAN was carried out for an optimized crystal structure of Tm5Sb3.

```
Tm5Sb3
1.0
8.0241 0.0000 0.0000
0.0000 9.1193 0.0000
0.0000 0.0000 11.6820
Tm Sb
20 12
Direct
0.8089 0.9399 0.9336 Tm
0.4757 0.7500 0.9947 Tm
0.8279 0.2500 0.2271 Tm
0.9757 0.2500 0.5053 Tm
0.8089 0.5601 0.9336 Tm
0.6557 0.7500 0.7089 Tm
0.3279 0.7500 0.2729 Tm
0.1911 0.0601 0.0664 Tm
0.1721 0.7500 0.7729 Tm
0.6911 0.9399 0.4336 Tm
0.1911 0.4399 0.0664 Tm
0.1557 0.2500 0.7911 Tm
0.5243 0.2500 0.0053 Tm
0.8443 0.7500 0.2089 Tm
0.0243 0.7500 0.4947 Tm
0.6721 0.2500 0.7271 Tm
0.3089 0.4399 0.5664 Tm
0.3443 0.2500 0.2911 Tm
0.6911 0.5601 0.4336 Tm
0.3089 0.0601 0.5664 Tm
0.9036 0.2500 0.9757 Sb
0.0964 0.7500 0.0243 Sb
0.5633 0.5093 0.1745 Sb
0.4367 0.0093 0.8255 Sb
0.0633 0.4907 0.3255 Sb
0.9367 0.9907 0.6745 Sb
0.9367 0.5093 0.6745 Sb
0.5633 0.9907 0.1745 Sb
0.0633 0.0093 0.3255 Sb
0.5964 0.2500 0.4757 Sb
0.4367 0.4907 0.8255 Sb
0.4036 0.7500 0.5243 Sb
```

Summary:
SG: Pnma



It turns out version x is the most stable, with the second structure 10 meV per atom higher.



Version w
A plane-wave DFT calculation with r2SCAN was carried out for an optimized crystal structure of Zn6Sb5.

```
Zn6Sb5
1.0
6.0900 3.5161 4.0790
-6.0900 3.5161 4.0790
0.0000 -7.0322 4.0790
Zn Sb
12 10
Direct
0.9838 0.6584 0.0640 Zn
0.4838 0.5640 0.1584 Zn
0.0162 0.3416 0.9360 Zn
0.9360 0.0162 0.3416 Zn
0.0640 0.9838 0.6584 Zn
0.1584 0.4838 0.5640 Zn
0.5640 0.1584 0.4838 Zn
0.5162 0.4360 0.8416 Zn
0.3416 0.9360 0.0162 Zn
0.4360 0.8416 0.5162 Zn
0.8416 0.5162 0.4360 Zn
0.6584 0.0640 0.9838 Zn
0.2500 0.6064 0.8936 Sb
0.1356 0.1356 0.1356 Sb
0.7500 0.3936 0.1064 Sb
0.6356 0.6356 0.6356 Sb
0.3936 0.1064 0.7500 Sb
0.1064 0.7500 0.3936 Sb
0.8644 0.8644 0.8644 Sb
0.6064 0.8936 0.2500 Sb
0.3644 0.3644 0.3644 Sb
0.8936 0.2500 0.6064 Sb
```

Summary:
SG: R-3c



Version x
A plane-wave DFT calculation with r2SCAN was carried out for an optimized crystal structure of Zn6Sb5.

```
Zn6Sb5
1.0
-4.4049 4.7677 4.9123
-5.8075 -0.8638 -5.6384
-1.7056 -6.9255 3.9233
Sb Zn
10 12
Direct
0.7500 0.1244 0.3756 Sb
0.8756 0.6244 0.2500 Sb
0.3756 0.7500 0.1244 Sb
0.1260 0.1260 0.1260 Sb
0.2500 0.8756 0.6244 Sb
0.6260 0.6260 0.6260 Sb
0.3740 0.3740 0.3740 Sb
0.1244 0.3756 0.7500 Sb
0.6244 0.2500 0.8756 Sb
0.8740 0.8740 0.8740 Sb
0.5011 0.8817 0.8731 Zn
0.9989 0.6269 0.6183 Zn
0.0011 0.3731 0.3817 Zn
0.8817 0.8731 0.5011 Zn
0.1269 0.4989 0.1183 Zn
0.8731 0.5011 0.8817 Zn
0.3731 0.3817 0.0011 Zn
0.4989 0.1183 0.1269 Zn
0.3817 0.0011 0.3731 Zn
0.1183 0.1269 0.4989 Zn
0.6183 0.9989 0.6269 Zn
0.6269 0.6183 0.9989 Zn
```

Summary:
SG: R-3c



It turns out version w is the most stable, with the second structure 228 meV per atom higher.